1.
! Lu2CuRu, relaxed, DFT meta-GGA r2SCAN; values from VASP
! VASP energy ... -28.575 eV/atom
! Calculated formation energy ... -0.467 eV per atom
&SYSTEM
  ibrav = 0, nat = 4, ntyp = 3
/
ATOMIC_SPECIES
Lu 174.97 Lu.upf
Cu 63.55 Cu.upf
Ru 101.07 Ru.upf
ATOMIC_POSITIONS angstrom
Lu 1.663 1.663 1.663
Lu 4.989 4.989 4.989
Cu 0.000 0.000 0.000
Ru 3.326 3.326 3.326
CELL_PARAMETERS angstrom
0.000 3.326 3.326
3.326 0.000 3.326
3.326 3.326 0.000

***

2.
! SnF2, relaxed, DFT meta-GGA r2SCAN; values from VASP
! VASP energy ... -12.703 eV/atom
! Calculated formation energy ... -2.371 eV per atom
&SYSTEM
  ibrav = 0, nat = 12, ntyp = 2
/
ATOMIC_SPECIES
Sn 118.71 Sn.upf
F 19.00 F.upf
ATOMIC_POSITIONS angstrom
Sn 1.152 0.028 3.178
Sn 1.298 5.136 7.392
Sn 3.603 2.554 5.250
Sn 3.749 2.609 1.036
F 0.171 3.219 3.911
F 0.495 1.311 5.988
F 1.956 3.853 1.774
F 2.280 1.945 8.125
F 2.622 4.526 4.517
F 2.946 1.271 2.440
F 4.406 3.892 6.654
F 4.730 0.637 0.303
CELL_PARAMETERS angstrom
4.902 0.000 0.000
0.000 5.163 0.000
0.000 0.000 8.428

***

3.
! LuSiPt2, relaxed, DFT meta-GGA r2SCAN; values from VASP
! VASP energy ... -38.738 eV/atom
! Calculated formation energy ... -1.281 eV per atom
&SYSTEM
  ibrav = 0, nat = 16, ntyp = 3
/
ATOMIC_SPECIES
Lu 174.97 Lu.upf
Si 28.09 Si.upf
Pt 195.08 Pt.upf
ATOMIC_POSITIONS angstrom
Lu 0.181 1.731 0.741
Lu 3.393 5.193 3.457
Lu 3.755 1.731 1.974
Lu 6.967 5.193 4.689
Si 0.850 5.193 1.986
Si 2.724 1.731 4.701
Si 4.424 5.193 0.729
Si 6.297 1.731 3.445
Pt 1.316 0.345 3.206
Pt 1.316 3.117 3.206
Pt 2.258 3.807 0.491
Pt 2.258 6.579 0.491
Pt 4.890 0.345 4.939
Pt 4.890 3.117 4.939
Pt 5.832 3.807 2.224
Pt 5.832 6.579 2.224
CELL_PARAMETERS angstrom
7.148 0.000 0.000
0.000 6.924 0.000
0.000 0.000 5.430

***

4.
! RbDyS2, relaxed, DFT meta-GGA r2SCAN; values from VASP
! VASP energy ... -17.635 eV/atom
! Calculated formation energy ... -2.140 eV per atom
&SYSTEM
  ibrav = 0, nat = 4, ntyp = 3
/
ATOMIC_SPECIES
Rb 85.47 Rb.upf
Dy 162.50 Dy.upf
S 32.06 S.upf
ATOMIC_POSITIONS angstrom
Rb 0.000 0.000 0.000
Dy 0.000 0.000 11.479
S 0.000 0.000 5.297
S 0.000 0.000 17.660
CELL_PARAMETERS angstrom
2.030 1.172 7.653
-2.030 1.172 7.653
0.000 -2.344 7.653

***

5.
! Mg5Zn, relaxed, DFT meta-GGA r2SCAN; values from VASP
! VASP energy ... -4.945 eV/atom
! Calculated formation energy ... 0.014 eV per atom
&SYSTEM
  ibrav = 0, nat = 6, ntyp = 2
/
ATOMIC_SPECIES
Mg 24.30 Mg.upf
Zn 65.41 Zn.upf
ATOMIC_POSITIONS angstrom
Mg 0.000 0.000 0.000
Mg 0.000 0.000 5.047
Mg 2.480 0.000 1.735
Mg 2.480 0.000 6.925
Mg 2.480 0.000 12.203
Zn 0.000 0.000 10.487
CELL_PARAMETERS angstrom
4.960 0.000 0.000
0.000 1.575 7.933
0.000 -1.575 7.933

***

6.
! SmY3, relaxed, DFT meta-GGA r2SCAN; values from VASP
! VASP energy ... -22.660 eV/atom
! Calculated formation energy ... 0.008 eV per atom
&SYSTEM
  ibrav = 0, nat = 8, ntyp = 2
/
ATOMIC_SPECIES
Sm 150.36 Sm.upf
Y 88.91 Y.upf
ATOMIC_POSITIONS angstrom
Sm 0.000 4.228 1.469
Sm 3.662 2.114 4.407
Y 0.000 2.106 4.407
Y -1.838 5.289 4.407
Y 1.824 1.053 1.469
Y 1.838 5.289 4.407
Y 5.500 1.053 1.469
Y 3.662 4.236 1.469
CELL_PARAMETERS angstrom
7.324 0.000 0.000
-3.662 6.342 0.000
0.000 0.000 5.876

***

Among the records above, which one has the lowest calculated formation energy? SnF2

***

Among the records above, which one has the lowest VASP energy? LuSiPt2

***

Look up the calculated formation energy of the second one. -2.371 eV per atom